Computed, not measured: a relaxed Na6Hf4Ta4Si9S3O48 crystal at the PBE level of DFT.

Calculated values
total moment = 0.0000 μB per atom
calculated volume = 14.455 Å³ per atom

Lattice parameters (Å, degrees): 17.9480 8.9499 23.0356 89.98 90.00 119.86
Sites, in units of the cell vectors:
O 0.0812 0.1814 0.4058
O 0.2644 0.6929 0.9735
O 0.9178 0.8154 0.5910
Na 0.1651 0.6712 0.6698
Ta 0.3340 0.3454 0.9854
Na 0.1701 0.6756 0.1618
O 0.4164 0.5184 0.7456
S 0.6688 0.3798 0.4171
S 0.3575 0.7166 0.2499
Na 0.8251 0.3196 0.3331
Si 0.6443 0.0048 0.2490
O 0.2521 0.6329 0.8610
Ta 0.8327 0.3209 0.4867
O 0.7713 0.8449 0.7562
O 0.7365 0.3030 0.0261
O 0.9356 0.3614 0.6444
O 0.9204 0.8123 0.3053
Ta 0.0026 0.9980 0.8552
O 0.7404 0.1691 0.2438
O 0.5733 0.6451 0.0765
O 0.4136 0.3080 0.5275
O 0.5166 0.8294 0.6924
O 0.4329 0.3570 0.9237
O 0.4195 0.0308 0.8063
Ta 0.0004 0.9986 0.3550
Na 0.6634 0.6580 0.1683
O 0.5814 0.9856 0.9091
Si 0.3554 0.9940 0.7498
O 0.9235 0.3070 0.2460
O 0.8249 0.1565 0.4253
O 0.0739 0.6944 0.4676
Si 0.1434 0.2827 0.7490
O 0.2478 0.3680 0.1412
Si 0.4792 0.3356 0.5825
O 0.6824 0.5096 0.0754
O 0.7600 0.6851 0.2578
O 0.2356 0.3050 0.0271
Na 0.6655 0.6636 0.6664
O 0.5118 0.8394 0.4067
O 0.5947 0.1644 0.0892
Na 0.3343 0.9757 0.5861
O 0.5835 0.6817 0.7581
O 0.2697 0.6957 0.2565
O 0.9115 0.0252 0.8032
Si 0.3327 0.0404 0.0807
S 0.5192 0.3725 0.9164
Si 0.3132 0.6678 0.9166
Si 0.6896 0.3368 0.0807
Si 0.1476 0.0022 0.2523
O 0.3948 0.8197 0.1978
O 0.0140 0.2104 0.1981
S 0.8581 0.9987 0.7496
Si 0.8124 0.6744 0.9174
O 0.7358 0.1646 0.5271
O 0.9815 0.8039 0.0872
Na 0.9986 0.0062 0.5027
O 0.4863 0.8015 0.8066
O 0.5734 0.4556 0.9685
O 0.0761 0.4637 0.2579
O 0.8508 0.1559 0.7461
O 0.0926 0.1629 0.8064
O 0.4856 0.8132 0.0928
Hf 0.3302 0.3154 0.1844
Si 0.3143 0.9560 0.4188
O 0.8547 0.5287 0.2463
O 0.5792 0.9692 0.1938
Hf 0.3338 0.3247 0.6904
O 0.7529 0.8719 0.3600
O 0.6518 0.4777 0.7592
Hf 0.6674 0.6773 0.3112
O 0.8459 0.1506 0.0311
Na 0.3308 0.3233 0.3337
Si 0.8113 0.9590 0.4166
O 0.0946 0.0251 0.5890
O 0.5942 0.0251 0.3062
Ta 0.5041 0.0092 0.3559
Na 0.0007 0.6443 0.2463
O 0.0595 0.6400 0.3626
O 0.6818 0.8716 0.8602
Hf 0.8291 0.3435 0.6850
O 0.2375 0.3059 0.7438
O 0.7716 0.6998 0.9769
O 0.4810 0.1547 0.5851
Si 0.1670 0.3738 0.4162
O 0.1482 0.4604 0.4719
O 0.3238 0.1479 0.4237
Na 0.8291 0.3373 0.8322
O 0.5839 0.4758 0.2561
O 0.3444 0.5384 0.5301
O 0.8154 0.5079 0.6379
O 0.2443 0.1330 0.9242
O 0.4389 0.3696 0.6410
O 0.7446 0.3553 0.4233
O 0.0094 0.8348 0.6939
Si 0.5009 0.7089 0.7482
O 0.0119 0.8232 0.4096
Si 0.0225 0.3777 0.9162
O 0.0894 0.9776 0.9108
Na 0.5011 0.3643 0.7473
O 0.4175 0.0201 0.0919
O 0.2600 0.8319 0.7580
O 0.7524 0.1486 0.9269
O 0.6796 0.8566 0.5750
Si 0.1878 0.3300 0.0852
O 0.7479 0.6421 0.5700
O 0.7488 0.3691 0.1385
O 0.9264 0.3496 0.9299
S 0.0005 0.2877 0.2507
O 0.9390 0.5073 0.1427
O 0.2506 0.1320 0.6386
O 0.3968 0.9687 0.6901
Na 0.4988 0.9916 0.9981
O 0.4081 0.8402 0.9104
O 0.5582 0.4795 0.8640
O 0.0846 0.4749 0.9725
O 0.5609 0.6308 0.3579
S 0.8335 0.0475 0.0829
O 0.5751 0.5017 0.5705
O 0.5952 0.1667 0.8085
O 0.4868 0.1621 0.3068
O 0.3150 0.1216 0.1384
Ta 0.0065 0.9994 0.6414
S 0.0196 0.6639 0.4156
Na 0.8323 0.6915 0.0822
O 0.7400 0.3033 0.7476
O 0.9082 0.9804 0.4065
Si 0.8548 0.7141 0.2496
O 0.2705 0.8410 0.4758
O 0.5859 0.2110 0.6954
Si 0.1911 0.0463 0.5823
O 0.3239 0.4938 0.9266
O 0.0118 0.1837 0.9079
O 0.5110 0.2018 0.9113
O 0.0756 0.6483 0.0724
O 0.6525 0.4530 0.4690
Ta 0.8320 0.3433 0.9740
S 0.1685 0.9576 0.9174
O 0.1817 0.8567 0.5741
Si 0.8333 0.6255 0.5808
O 0.8485 0.5291 0.5239
O 0.1526 0.8513 0.9694
Na 0.3299 0.3379 0.8298
O 0.7661 0.8359 0.4732
O 0.4103 0.7969 0.3032
O 0.0779 0.1887 0.6937
Ta 0.3326 0.3224 0.4759
Hf 0.0054 0.9896 0.1453
O 0.2561 0.6428 0.5766
O 0.6476 0.8267 0.2547
O 0.3494 0.5442 0.2462
O 0.4174 0.5297 0.0287
Na 0.0012 0.3752 0.7487
O 0.9101 0.0240 0.0893
O 0.9867 0.8111 0.8068
O 0.0723 0.5003 0.5756
Ta 0.4993 0.9866 0.8509
Si 0.9789 0.3325 0.5875
O 0.1805 0.8812 0.8644
Hf 0.1655 0.6564 0.5207
O 0.9881 0.1800 0.3032
O 0.4088 0.7955 0.5867
O 0.2358 0.1689 0.5254
O 0.5897 0.2012 0.4103
Hf 0.5069 0.0122 0.6493
Hf 0.6632 0.6706 0.0180
O 0.4098 0.9798 0.4068
O 0.7570 0.8700 0.0778
Si 0.5220 0.6662 0.4164
O 0.0943 0.0213 0.3079
Hf 0.6709 0.6751 0.8140
O 0.9097 0.8399 0.9075
O 0.3521 0.1742 0.7463
O 0.1463 0.4672 0.7546
Si 0.4796 0.6250 0.0871
O 0.0606 0.4916 0.8581
O 0.8986 0.8283 0.1913
O 0.6806 0.4797 0.3641
O 0.4166 0.3169 0.2460
Ta 0.6681 0.6831 0.5236
Si 0.9790 0.6161 0.0825
O 0.5095 0.1837 0.1940
O 0.4355 0.5101 0.1444
O 0.5853 0.6957 0.4720
O 0.1793 0.5032 0.0752
O 0.9175 0.3050 0.5284
Si 0.4992 0.2871 0.2500
Ta 0.1689 0.6541 0.0222
O 0.2522 0.3563 0.4254
Hf 0.1764 0.6777 0.3165
O 0.2543 0.8734 0.3612
Ta 0.5063 0.0135 0.1408
O 0.2398 0.1736 0.2479
Si 0.6474 0.2913 0.7528
O 0.4257 0.5032 0.4289
Si 0.6858 0.0450 0.5859
O 0.7486 0.1281 0.6403
Si 0.6655 0.9609 0.9163
O 0.8208 0.1246 0.1360
O 0.1478 0.8181 0.2585
O 0.9167 0.5165 0.7459
Na 0.5014 0.6274 0.2485
Hf 0.1684 0.6581 0.8108
O 0.9127 0.5203 0.0286
O 0.9856 0.1573 0.5918
O 0.1790 0.4909 0.3589
O 0.5911 0.0209 0.5854
Si 0.9991 0.7106 0.7501
O 0.0845 0.9637 0.1959
O 0.3193 0.5167 0.6351
O 0.8240 0.5023 0.9241
O 0.9335 0.5128 0.4217
O 0.0840 0.6922 0.7562
O 0.7529 0.6363 0.8609
O 0.0911 0.1663 0.0887
O 0.3483 0.1676 0.0245
Hf 0.8289 0.3414 0.1868
S 0.3339 0.6199 0.5823
O 0.8963 0.9719 0.6977
Na 0.0031 0.0069 0.9990
Na 0.5037 0.0014 0.5030
O 0.6497 0.8397 0.9729
O 0.2475 0.8526 0.0710

=====

Computed, not measured: a relaxed Li3Mo15Se19 crystal at the PBE level of DFT.

Calculated values
total moment = 0.0000 μB per atom
calculated volume = 21.732 Å³ per atom

Lattice parameters (Å, degrees): 9.7220 9.6163 19.8468 90.00 90.00 119.92
Sites, in units of the cell vectors:
Se 0.3267 0.2925 0.5471
Se 0.6580 0.9562 0.7500
Mo 0.8307 0.8463 0.9407
Se 0.6199 0.6123 0.6437
Mo 0.8468 0.0163 0.4428
Mo 0.1895 0.6916 0.6344
Mo 0.4995 0.1900 0.1352
Se 0.9951 0.9997 0.1594
Se 0.9624 0.6710 0.9492
Li 0.8245 0.7900 0.7500
Se 0.7097 0.0343 0.5507
Mo 0.6928 0.5043 0.1351
Se 0.6199 0.6123 0.8563
Mo 0.1615 0.5128 0.7500
Mo 0.9829 0.8324 0.0564
Mo 0.3072 0.4957 0.8649
Mo 0.1693 0.1537 0.4407
Mo 0.3515 0.8377 0.7500
Mo 0.8385 0.4872 0.2500
Se 0.0376 0.3290 0.0508
Li 0.6666 0.3305 0.6013
Se 0.9624 0.6710 0.5508
Mo 0.5005 0.8100 0.8648
Se 0.0376 0.3290 0.4492
Se 0.3267 0.2925 0.9529
Se 0.7091 0.6646 0.2500
Mo 0.1693 0.1537 0.0593
Mo 0.6928 0.5043 0.3649
Li 0.6666 0.3305 0.8987
Li 0.1755 0.2100 0.2500
Mo 0.0171 0.1676 0.5564
Mo 0.8468 0.0163 0.0572
Mo 0.8105 0.3084 0.1344
Se 0.9962 0.3769 0.6431
Se 0.3326 0.6663 0.5322
Se 0.6674 0.3337 0.0322
Se 0.9951 0.9997 0.3406
Mo 0.4995 0.1900 0.3648
Se 0.0459 0.7045 0.7500
Se 0.2909 0.3354 0.7500
Mo 0.1532 0.9837 0.9428
Se 0.0038 0.6231 0.3569
Mo 0.3072 0.4957 0.6351
Se 0.9962 0.3769 0.8569
Mo 0.5005 0.8100 0.6352
Mo 0.1532 0.9837 0.5572
Mo 0.8105 0.3084 0.3656
Mo 0.9829 0.8324 0.4436
Mo 0.6485 0.1623 0.2500
Se 0.3326 0.6663 0.9678
Se 0.0049 0.0003 0.8406
Se 0.6179 0.9943 0.1429
Se 0.9541 0.2955 0.2500
Se 0.3821 0.0057 0.6429
Li 0.3334 0.6695 0.1013
Se 0.2903 0.9657 0.0507
Mo 0.4801 0.6446 0.7500
Se 0.2903 0.9657 0.4493
Mo 0.8307 0.8463 0.5593
Se 0.6733 0.7075 0.4529
Se 0.3801 0.3877 0.1437
Se 0.6179 0.9943 0.3571
Li 0.3334 0.6695 0.3987
Se 0.0038 0.6231 0.1431
Se 0.3420 0.0438 0.2500
Se 0.6674 0.3337 0.4678
Se 0.6733 0.7075 0.0471
Mo 0.1895 0.6916 0.8656
Se 0.3801 0.3877 0.3563
Mo 0.5199 0.3554 0.2500
Mo 0.0171 0.1676 0.9436
Se 0.3821 0.0057 0.8571
Se 0.7097 0.0343 0.9493
Se 0.0049 0.0003 0.6594

=====

Computed, not measured: a relaxed Al4Ni12C crystal at the PBE level of DFT.

Calculated values
total moment = 0.0205 μB per atom
calculated volume = 11.133 Å³ per atom

Lattice parameters (Å, degrees): 3.6704 3.6704 14.0485 90.00 90.00 90.00
Sites, in units of the cell vectors:
Ni 0.5000 0.5000 0.8684
Ni 0.0000 0.5000 0.2548
Al 0.0000 0.0000 0.1384
Al 0.0000 0.0000 0.6217
Ni 0.5000 0.5000 0.6248
Ni 0.5000 0.5000 0.1316
Al 0.0000 0.0000 0.3783
Ni 0.5000 0.0000 0.2548
Ni 0.5000 0.0000 0.5000
Ni 0.5000 0.0000 0.0000
C 0.5000 0.5000 0.0000
Ni 0.5000 0.0000 0.7452
Ni 0.0000 0.5000 0.7452
Al 0.0000 0.0000 0.8616
Ni 0.0000 0.5000 0.5000
Ni 0.5000 0.5000 0.3752
Ni 0.0000 0.5000 0.0000

=====

Computed, not measured: a relaxed BaY3Cl11 crystal at the PBE level of DFT.

Calculated values
total moment = 0.0000 μB per atom
calculated volume = 35.374 Å³ per atom

Lattice parameters (Å, degrees): 5.3391 10.3100 19.2792 90.00 90.00 90.00
Sites, in units of the cell vectors:
Cl 0.0000 0.7500 0.7967
Cl 0.5000 0.5000 0.5000
Ba 0.0000 0.2500 0.0142
Cl 0.5000 0.5038 0.2392
Cl 0.0000 0.4628 0.8992
Cl 0.5000 0.0038 0.7608
Cl 0.0000 0.5692 0.6318
Cl 0.0000 0.9628 0.1008
Y 0.0000 0.5000 0.5000
Y 0.0000 0.0006 0.7642
Cl 0.5000 0.9962 0.2392
Cl 0.0000 0.4308 0.3682
Ba 0.0000 0.7500 0.9858
Y 0.0000 0.9994 0.2358
Cl 0.0000 0.7500 0.4642
Cl 0.0000 0.2500 0.5358
Cl 0.5000 0.2500 0.0690
Y 0.0000 0.0000 0.5000
Y 0.0000 0.4994 0.7642
Cl 0.0000 0.5372 0.1008
Cl 0.0000 0.0692 0.3682
Cl 0.0000 0.9308 0.6318
Y 0.0000 0.5006 0.2358
Cl 0.5000 0.0000 0.5000
Cl 0.0000 0.2500 0.7322
Cl 0.0000 0.0372 0.8992
Cl 0.0000 0.7500 0.2678
Cl 0.5000 0.4962 0.7608
Cl 0.0000 0.2500 0.2033
Cl 0.5000 0.7500 0.9310

=====

| no. | energy relative to the elements (eV per atom) |
| --- | --- |
| 1 | -3.0520 |
| 2 | -0.8293 |
| 3 | -0.3703 |
| 4 | -2.7169 |